# 1
Density functional theory data (PBE-GGA) for a relaxed SrSnO3 crystal.

Summary:
**Symmetry**: Pnma (62)
**Total energy**: -6.33 eV/atom
**Volume**: 275.7 Å³ per cell
**MP2020-corrected energy**: -6.75 eV per atom

Structure (POSCAR):
```
SrSnO3
1.0
5.817 0.000 0.000
0.000 8.191 0.000
0.000 0.000 5.786
Sr Sn O
4 4 12
direct
0.032 0.250 0.007
0.468 0.750 0.507
0.532 0.250 0.493
0.968 0.750 0.993
0.000 0.000 0.500
0.000 0.500 0.500
0.500 0.000 0.000
0.500 0.500 0.000
0.018 0.750 0.426
0.214 0.539 0.787
0.214 0.961 0.787
0.286 0.039 0.287
0.286 0.461 0.287
0.482 0.250 0.926
0.518 0.750 0.074
0.714 0.539 0.713
0.714 0.961 0.713
0.786 0.039 0.213
0.786 0.461 0.213
0.982 0.250 0.574
```

=====

# 2
Density functional theory data (PBE-GGA) for a relaxed KCaO3 crystal.

Summary:
**Symmetry**: Pm-3m (221)
**Total energy**: -4.65 eV/atom
**Volume**: 95.4 Å³ per cell
**MP2020-corrected energy**: -5.07 eV per atom

Structure (POSCAR):
```
KCaO3
1.0
4.569 0.000 0.000
0.000 4.569 0.000
0.000 0.000 4.569
K Ca O
1 1 3
direct
0.000 0.000 0.000
0.500 0.500 0.500
0.000 0.500 0.500
0.500 0.000 0.500
0.500 0.500 0.000
```

=====

# 3
Density functional theory data (PBE-GGA) for a relaxed Ho2InAu2 crystal.

Summary:
**Symmetry**: P4/mbm (127)
**Total energy**: -4.51 eV/atom
**Volume**: 234.7 Å³ per cell

Structure (POSCAR):
```
Ho2InAu2
1.0
7.997 0.000 0.000
0.000 7.997 0.000
0.000 0.000 3.670
Ho In Au
4 2 4
direct
0.171 0.329 0.000
0.329 0.829 0.000
0.671 0.171 0.000
0.829 0.671 0.000
0.000 0.000 0.500
0.500 0.500 0.500
0.128 0.628 0.500
0.372 0.128 0.500
0.628 0.872 0.500
0.872 0.372 0.500
```